Record 1
Below is MnBe2Fe2P4O22 after structural relaxation, with properties calculated at the GGA+U level.

Results
**Energy of formation**: -1444.9 meV per atom
**Magnetization**: 14.76 μB per formula unit

a b c (Å): 9.9699 9.9699 16.8170
angles (deg): 90.00 90.00 120.00
Fractional positions:
1 O 0.8359 0.5982 0.8028
2 O 0.3119 0.8066 0.1413
3 O 0.1070 0.2141 0.7126
4 O 0.4946 0.6881 0.8079
5 O 0.7624 0.1641 0.4695
6 O 0.4018 0.2376 0.1362
7 O 0.8306 0.7784 0.5169
8 O 0.1894 0.0513 0.5821
9 O 0.0362 0.4013 0.0865
10 O 0.0313 0.2061 0.4845
11 O 0.3120 0.3259 0.4664
12 O 0.9359 0.3507 0.5787
13 O 0.6991 0.4600 0.0711
14 O 0.8184 0.3303 0.2119
15 O 0.7939 0.8252 0.8178
16 O 0.6595 0.0327 0.1923
17 O 0.2554 0.7488 0.6065
18 O 0.1748 0.9687 0.1512
19 O 0.9673 0.6268 0.5257
20 O 0.0736 0.8630 0.7480
21 O 0.5118 0.1816 0.8785
22 O 0.9487 0.1381 0.9155
23 O 0.9375 0.7673 0.9262
24 O 0.3344 0.1150 0.5818
25 O 0.0139 0.6880 0.1331
26 O 0.6135 0.3640 0.3586
27 O 0.1070 0.8930 0.3792
28 O 0.4933 0.7446 0.2732
29 O 0.8459 0.6665 0.6501
30 O 0.2156 0.4055 0.1968
31 O 0.7505 0.3865 0.0253
32 O 0.5945 0.8101 0.5301
33 O 0.6741 0.9861 0.7998
34 O 0.7609 0.3009 0.7378
35 O 0.7859 0.8930 0.0459
36 O 0.8619 0.8106 0.2488
37 O 0.1592 0.3425 0.3527
38 O 0.2611 0.7955 0.3370
39 O 0.1120 0.3623 0.7217
40 O 0.2327 0.1702 0.2595
41 O 0.1934 0.5054 0.4746
42 O 0.3335 0.1794 0.9834
43 O 0.6377 0.7498 0.0550
44 O 0.5400 0.2391 0.4044
45 O 0.6697 0.4882 0.5452
46 O 0.7894 0.9264 0.4147
47 O 0.5344 0.7389 0.0037
48 O 0.9478 0.1694 0.1836
49 O 0.8850 0.2194 0.9152
50 O 0.6360 0.2495 0.6920
51 O 0.6575 0.8167 0.6860
52 O 0.3650 0.9638 0.7532
53 O 0.3732 0.3405 0.8590
54 O 0.2512 0.5067 0.9398
55 O 0.2216 0.0522 0.8502
56 O 0.7806 0.6656 0.2485
57 O 0.8206 0.1541 0.3168
58 O 0.6493 0.5852 0.9120
59 O 0.4148 0.0641 0.2453
60 O 0.1833 0.8408 0.0194
61 O 0.1370 0.2106 0.0813
62 O 0.1899 0.7844 0.8634
63 O 0.5987 0.6350 0.4198
64 O 0.2045 0.4656 0.6704
65 O 0.8298 0.0625 0.5928
66 O 0.2502 0.8880 0.3883
67 Fe 0.5323 0.4216 0.4563
68 Fe 0.5784 0.1107 0.7896
69 Fe 0.4455 0.8755 0.2388
70 Fe 0.1245 0.5700 0.5722
71 Fe 0.4300 0.5545 0.9055
72 Fe 0.8893 0.4677 0.1229
73 Be 0.9225 0.7016 0.7305
74 Be 0.2155 0.3153 0.2728
75 Be 0.6847 0.9002 0.6061
76 Be 0.7791 0.0775 0.3971
77 Be 0.0998 0.7845 0.9395
78 Be 0.2984 0.2209 0.0638
79 P 0.6871 0.7820 0.4669
80 P 0.7993 0.6799 0.8697
81 P 0.6392 0.8229 0.7757
82 P 0.2180 0.9050 0.8002
83 P 0.8300 0.6267 0.5621
84 P 0.7967 0.1700 0.2288
85 P 0.1771 0.8162 0.1090
86 P 0.8806 0.2007 0.5364
87 P 0.3733 0.2033 0.8955
88 P 0.1838 0.3608 0.4423
89 P 0.0950 0.3129 0.1336
90 P 0.3201 0.1194 0.2030
91 Mn 0.0456 0.9832 0.4674
92 Mn 0.0168 0.0623 0.8008
93 Mn 0.9377 0.9544 0.1341

---

Record 2
Below is BeFe2O4 after structural relaxation, with properties calculated at the GGA+U level.

Results
**Energy above the lowest structure with this stoichiometry**: 0.00 eV/f.u.
**Energy of formation**: -2055.6 meV per atom
**Magnetization**: 10.00 μB per formula unit

a b c (Å): 4.6498 5.8724 10.0598
angles (deg): 90.00 90.00 90.00
Fractional positions:
1 Fe 0.9903 0.2500 0.7270
2 Fe 0.0000 0.0000 0.0000
3 Fe 0.0000 0.5000 0.0000
4 Fe 0.5000 0.0000 0.5000
5 Fe 0.5097 0.2500 0.2270
6 Fe 0.5000 0.5000 0.5000
7 Fe 0.4903 0.7500 0.7730
8 Fe 0.0097 0.7500 0.2730
9 O 0.7651 0.5259 0.6627
10 O 0.2717 0.7500 0.5917
11 O 0.2349 0.4741 0.3373
12 O 0.7349 0.9741 0.1627
13 O 0.2317 0.2500 0.5601
14 O 0.7717 0.2500 0.9083
15 O 0.7317 0.7500 0.9399
16 O 0.2283 0.7500 0.0917
17 O 0.7651 0.9741 0.6627
18 O 0.7283 0.2500 0.4083
19 O 0.2683 0.2500 0.0601
20 O 0.2651 0.4741 0.8373
21 O 0.7349 0.5259 0.1627
22 O 0.7683 0.7500 0.4399
23 O 0.2349 0.0259 0.3373
24 O 0.2651 0.0259 0.8373
25 Be 0.0724 0.2500 0.4077
26 Be 0.4276 0.2500 0.9077
27 Be 0.5724 0.7500 0.0923
28 Be 0.9276 0.7500 0.5923

---

Record 3
Below is BeFe2O4 after structural relaxation, with properties calculated at the GGA+U level.

Results
**Energy above the lowest structure with this stoichiometry**: 0.29 eV/f.u.
**Energy of formation**: -2013.9 meV per atom
**Magnetization**: 10.00 μB per formula unit

a b c (Å): 3.0591 9.4765 9.8851
angles (deg): 90.00 90.00 90.00
Fractional positions:
1 Fe 0.7500 0.8876 0.8073
2 Fe 0.2500 0.6205 0.9294
3 Fe 0.2500 0.1124 0.1927
4 Fe 0.7500 0.8795 0.4294
5 Fe 0.2500 0.1205 0.5706
6 Fe 0.7500 0.3876 0.6927
7 Fe 0.2500 0.6124 0.3073
8 Fe 0.7500 0.3795 0.0706
9 O 0.2500 0.2450 0.7439
10 O 0.7500 0.7570 0.9832
11 O 0.2500 0.0160 0.3842
12 O 0.7500 0.2550 0.2439
13 O 0.7500 0.4840 0.8842
14 O 0.2500 0.5160 0.1158
15 O 0.7500 0.4981 0.3673
16 O 0.2500 0.7430 0.4832
17 O 0.7500 0.9840 0.6158
18 O 0.7500 0.9981 0.1327
19 O 0.2500 0.7450 0.7561
20 O 0.7500 0.2570 0.5168
21 O 0.7500 0.7550 0.2561
22 O 0.2500 0.2430 0.0168
23 O 0.2500 0.5019 0.6327
24 O 0.2500 0.0019 0.8673
25 Be 0.2500 0.1621 0.8797
26 Be 0.7500 0.8379 0.1203
27 Be 0.2500 0.6621 0.6203
28 Be 0.7500 0.3379 0.3797

---

Record 4
Below is Be3Fe4Si3SO12 after structural relaxation, with properties calculated at the GGA+U level.

Results
**Energy above the lowest structure with this stoichiometry**: 2.82 eV/f.u.
**Energy of formation**: -2392.0 meV per atom
**Magnetization**: 16.00 μB per formula unit

a b c (Å): 8.2766 8.2766 8.2766
angles (deg): 90.00 90.00 90.00
Fractional positions:
1 O 0.9119 0.6401 0.6399
2 O 0.1401 0.4119 0.1399
3 O 0.6399 0.9119 0.6401
4 O 0.8601 0.1401 0.5881
5 O 0.1399 0.1401 0.4119
6 O 0.6401 0.6399 0.9119
7 O 0.4119 0.8601 0.8599
8 O 0.3601 0.9119 0.3599
9 O 0.8599 0.5881 0.1399
10 O 0.9119 0.3599 0.3601
11 O 0.0881 0.6401 0.3601
12 O 0.8599 0.4119 0.8601
13 O 0.1399 0.8599 0.5881
14 O 0.6399 0.0881 0.3599
15 O 0.5881 0.1399 0.8599
16 O 0.1401 0.5881 0.8601
17 O 0.3599 0.6399 0.0881
18 O 0.6401 0.3601 0.0881
19 O 0.3599 0.3601 0.9119
20 O 0.3601 0.0881 0.6401
21 O 0.4119 0.1399 0.1401
22 O 0.8601 0.8599 0.4119
23 O 0.5881 0.8601 0.1401
24 O 0.0881 0.3599 0.6399
25 Fe 0.8332 0.1668 0.8332
26 Fe 0.3332 0.3332 0.6668
27 Fe 0.1668 0.8332 0.8332
28 Fe 0.6668 0.3332 0.3332
29 Fe 0.1668 0.1668 0.1668
30 Fe 0.6668 0.6668 0.6668
31 Fe 0.3332 0.6668 0.3332
32 Fe 0.8332 0.8332 0.1668
33 Si 0.0000 0.5000 0.2500
34 Si 0.7500 0.0000 0.5000
35 Si 0.2500 0.0000 0.5000
36 Si 0.5000 0.2500 0.0000
37 Si 0.0000 0.5000 0.7500
38 Si 0.5000 0.7500 0.0000
39 Be 0.5000 0.0000 0.7500
40 Be 0.0000 0.7500 0.5000
41 Be 0.2500 0.5000 0.0000
42 Be 0.0000 0.2500 0.5000
43 Be 0.5000 0.0000 0.2500
44 Be 0.7500 0.5000 0.0000
45 S 0.5000 0.5000 0.5000
46 S 0.0000 0.0000 0.0000

---

Record 5
Below is Be3Fe4Si3SO12 after structural relaxation, with properties calculated at the GGA+U level.

Results
**Energy above the lowest structure with this stoichiometry**: 0.00 eV/f.u.
**Energy of formation**: -2514.7 meV per atom
**Magnetization**: 16.00 μB per formula unit

a b c (Å): 8.3062 8.3062 8.3062
angles (deg): 89.56 89.56 89.56
Fractional positions:
1 Be 0.7513 0.5004 0.0022
2 Be 0.5004 0.0022 0.7513
3 Be 0.0022 0.7513 0.5004
4 Be 0.5022 0.0004 0.2513
5 Be 0.0004 0.2513 0.5022
6 Be 0.2513 0.5022 0.0004
7 O 0.4146 0.8620 0.1454
8 O 0.5876 0.1415 0.1403
9 O 0.3647 0.3644 0.0887
10 O 0.4158 0.1471 0.8565
11 O 0.8647 0.5887 0.8644
12 O 0.1403 0.5876 0.1415
13 O 0.3565 0.6471 0.9158
14 O 0.3620 0.9146 0.6454
15 O 0.6471 0.9158 0.3565
16 O 0.3644 0.0887 0.3647
17 O 0.1415 0.1403 0.5876
18 O 0.6403 0.6415 0.0876
19 O 0.0887 0.3647 0.3644
20 O 0.9158 0.3565 0.6471
21 O 0.8644 0.8647 0.5887
22 O 0.8620 0.1454 0.4146
23 O 0.1454 0.4146 0.8620
24 O 0.9146 0.6454 0.3620
25 O 0.8565 0.4158 0.1471
26 O 0.1471 0.8565 0.4158
27 O 0.6415 0.0876 0.6403
28 O 0.6454 0.3620 0.9146
29 O 0.0876 0.6403 0.6415
30 O 0.5887 0.8644 0.8647
31 Fe 0.8311 0.8311 0.8311
32 Fe 0.6673 0.3304 0.6701
33 Fe 0.1673 0.1701 0.8304
34 Fe 0.8304 0.1673 0.1701
35 Fe 0.6701 0.6673 0.3304
36 Fe 0.3304 0.6701 0.6673
37 Fe 0.1701 0.8304 0.1673
38 Fe 0.3311 0.3311 0.3311
39 Si 0.2529 0.9971 0.5034
40 Si 0.5034 0.2529 0.9971
41 Si 0.0034 0.4971 0.7529
42 Si 0.4971 0.7529 0.0034
43 Si 0.7529 0.0034 0.4971
44 Si 0.9971 0.5034 0.2529
45 S 0.5002 0.5002 0.5002
46 S 0.0002 0.0002 0.0002

---

Record 6
Below is Y4Be6Fe3Si6O30 after structural relaxation, with properties calculated at the GGA+U level.

Results
**Energy of formation**: -2907.4 meV per atom
**Magnetization**: 0.15 μB per formula unit

a b c (Å): 7.7499 10.1452 14.0618
angles (deg): 90.59 90.05 90.13
Fractional positions:
1 Be 0.9140 0.8424 0.4882
2 Be 0.5856 0.3392 0.4811
3 Be 0.5920 0.3425 0.1516
4 Be 0.0946 0.1542 0.8526
5 Be 0.4102 0.6580 0.5178
6 Be 0.9145 0.8404 0.1490
7 Be 0.4117 0.6556 0.1831
8 Be 0.0827 0.1565 0.1825
9 Be 0.4085 0.6540 0.8494
10 Be 0.9012 0.8489 0.8152
11 Be 0.0948 0.1577 0.5136
12 Be 0.5918 0.3497 0.8178
13 O 0.8817 0.1360 0.2364
14 O 0.2924 0.5311 0.8982
15 O 0.5740 0.0618 0.9125
16 O 0.6101 0.6352 0.5698
17 O 0.0929 0.1494 0.7347
18 O 0.3065 0.5339 0.5644
19 O 0.5596 0.3517 0.9302
20 O 0.5876 0.0423 0.5831
21 O 0.4221 0.9539 0.4134
22 O 0.8478 0.7025 0.4441
23 O 0.5728 0.3419 0.5964
24 O 0.9072 0.1301 0.9013
25 O 0.6145 0.3607 0.2631
26 O 0.3651 0.7999 0.5623
27 O 0.0923 0.4685 0.4148
28 O 0.9047 0.1317 0.5750
29 O 0.3964 0.6356 0.0710
30 O 0.8220 0.9695 0.0966
31 O 0.7044 0.4686 0.7662
32 O 0.1050 0.1338 0.0697
33 O 0.6036 0.6410 0.2350
34 O 0.6964 0.2167 0.4441
35 O 0.3994 0.3665 0.7599
36 O 0.1753 0.2912 0.5599
37 O 0.8564 0.7018 0.1090
38 O 0.9402 0.8521 0.9274
39 O 0.1150 0.8615 0.0940
40 O 0.3086 0.7817 0.8836
41 O 0.0879 0.8757 0.7587
42 O 0.1070 0.8605 0.4370
43 O 0.9276 0.8411 0.2657
44 O 0.9098 0.5352 0.2555
45 O 0.5952 0.9932 0.2353
46 O 0.3001 0.5317 0.2392
47 O 0.4042 0.9686 0.7465
48 O 0.4021 0.3664 0.4282
49 O 0.0968 0.4993 0.0874
50 O 0.3282 0.7897 0.2300
51 O 0.0508 0.1580 0.4055
52 O 0.6986 0.4687 0.4299
53 O 0.0757 0.4363 0.7593
54 O 0.9025 0.5005 0.5783
55 O 0.6325 0.1980 0.1117
56 O 0.1259 0.3029 0.2177
57 O 0.4448 0.6540 0.7378
58 O 0.2104 0.0363 0.5627
59 O 0.7966 0.9626 0.4330
60 O 0.2053 0.0280 0.9014
61 O 0.7872 0.9742 0.7672
62 O 0.5926 0.6220 0.9072
63 O 0.2027 0.2747 0.8953
64 O 0.3902 0.3649 0.1004
65 O 0.8838 0.8656 0.5980
66 O 0.4152 0.9820 0.0987
67 O 0.4120 0.6545 0.4023
68 O 0.6920 0.4689 0.1013
69 O 0.7911 0.7272 0.7754
70 O 0.6767 0.2178 0.7704
71 O 0.9246 0.5601 0.9040
72 O 0.1831 0.0327 0.2368
73 Si 0.7629 0.5949 0.8375
74 Si 0.7286 0.0950 0.8419
75 Si 0.7233 0.0773 0.1663
76 Si 0.2186 0.4213 0.1607
77 Si 0.2306 0.4051 0.8316
78 Si 0.2680 0.9186 0.1676
79 Si 0.2868 0.9139 0.4938
80 Si 0.7334 0.0854 0.5061
81 Si 0.7766 0.5836 0.1719
82 Si 0.2642 0.9124 0.8228
83 Si 0.7783 0.5773 0.5079
84 Si 0.2338 0.4163 0.4922
85 Fe 0.4923 0.5022 0.6638
86 Fe 0.0031 0.0026 0.3342
87 Fe 0.0005 0.0009 0.9980
88 Fe 0.5055 0.5002 0.0024
89 Fe 0.9964 0.9979 0.6675
90 Fe 0.4993 0.4931 0.3335
91 Y 0.1046 0.6662 0.3345
92 Y 0.8926 0.3309 0.3337
93 Y 0.3966 0.1682 0.0021
94 Y 0.6000 0.8291 0.3374
95 Y 0.6015 0.8331 0.6706
96 Y 0.1049 0.6708 0.9936
97 Y 0.3958 0.1689 0.6623
98 Y 0.8931 0.3339 0.6704

---

Record 7
Below is Mn4Be3Ge3SO12 after structural relaxation, with properties calculated at the GGA+U level.

Results
**Piezoelectric modulus e_max**: 0.1 C/m²
**Energy of formation**: -2307.1 meV per atom
**Magnetization**: 20.00 μB per formula unit

a b c (Å): 8.5573 8.5573 8.5573
angles (deg): 90.00 90.00 90.00
Fractional positions:
1 Be 0.2500 0.5000 0.0000
2 Be 0.0000 0.7500 0.5000
3 Be 0.5000 0.0000 0.7500
4 Be 0.5000 0.0000 0.2500
5 Be 0.0000 0.2500 0.5000
6 Be 0.7500 0.5000 0.0000
7 Mn 0.6677 0.6677 0.6677
8 Mn 0.1677 0.8323 0.8323
9 Mn 0.8323 0.8323 0.1677
10 Mn 0.3323 0.6677 0.3323
11 Mn 0.1677 0.1677 0.1677
12 Mn 0.6677 0.3323 0.3323
13 Mn 0.3323 0.3323 0.6677
14 Mn 0.8323 0.1677 0.8323
15 Ge 0.0000 0.5000 0.7500
16 Ge 0.5000 0.2500 0.0000
17 Ge 0.5000 0.7500 0.0000
18 Ge 0.7500 0.0000 0.5000
19 Ge 0.0000 0.5000 0.2500
20 Ge 0.2500 0.0000 0.5000
21 O 0.8541 0.5910 0.1346
22 O 0.6459 0.6346 0.9090
23 O 0.5910 0.8654 0.1459
24 O 0.3541 0.3654 0.9090
25 O 0.4090 0.1346 0.1459
26 O 0.5910 0.1346 0.8541
27 O 0.8541 0.4090 0.8654
28 O 0.1459 0.5910 0.8654
29 O 0.0910 0.6459 0.3654
30 O 0.6459 0.3654 0.0910
31 O 0.9090 0.3541 0.3654
32 O 0.6346 0.0910 0.3541
33 O 0.1346 0.8541 0.5910
34 O 0.6346 0.9090 0.6459
35 O 0.3541 0.6346 0.0910
36 O 0.1346 0.1459 0.4090
37 O 0.4090 0.8654 0.8541
38 O 0.8654 0.8541 0.4090
39 O 0.8654 0.1459 0.5910
40 O 0.9090 0.6459 0.6346
41 O 0.0910 0.3541 0.6346
42 O 0.3654 0.9090 0.3541
43 O 0.3654 0.0910 0.6459
44 O 0.1459 0.4090 0.1346
45 S 0.0000 0.0000 0.0000
46 S 0.5000 0.5000 0.5000

---

Among the records above, which one has the highest magnetization? Mn4Be3Ge3SO12